No. 1
First-principles (PBE) data for crystalline Na5BS4O16 at its relaxed geometry, as listed in Materials Project.

Lattice parameters (Å, degrees): 8.7128 9.4171 16.9132 90.00 90.00 90.00
Last column: nearest neighbours and their distance in Å.
Atoms (fractional coordinates):
O  0.6205  0.9735  0.6552  1 S 1.46
O  0.5575  0.2482  0.9216  1 S 1.45
S  0.9998  0.4531  0.3007  4 O 1.46-1.58
S  0.6715  0.3283  0.5051  4 O 1.46-1.59
O  0.6506  0.1893  0.4670  1 S 1.47
Na  0.6531  0.7167  0.6562  4 O 2.28-2.52
O  0.8419  0.5266  0.3219  1 B 1.49, 1 S 1.58
O  0.0276  0.0964  0.4800  1 S 1.46
S  0.8285  0.6717  0.0051  4 O 1.46-1.59
O  0.1079  0.0395  0.8003  1 S 1.48
Na  0.9728  0.5075  0.5616  5 O 2.36-2.53
O  0.4724  0.9036  0.9800  1 S 1.46
S  0.7938  0.7578  0.4599  4 O 1.45-1.59
Na  0.5272  0.4925  0.0616  5 O 2.36-2.53
O  0.8952  0.1605  0.7341  1 S 1.46
Na  0.1531  0.7833  0.3438  4 O 2.28-2.52
Na  0.2229  0.1630  0.2915  5 O 2.28-2.44
O  0.2252  0.9202  0.0531  1 B 1.49, 1 S 1.59
Na  0.8281  0.1096  0.3675  5 O 2.35-2.58
O  0.1595  0.2534  0.7251  1 S 1.47
O  0.2709  0.1836  0.4248  1 S 1.47
O  0.3494  0.6893  0.0330  1 S 1.47
O  0.8795  0.0265  0.1552  1 S 1.46
Na  0.6719  0.8904  0.8675  5 O 2.35-2.58
B  0.7194  0.5151  0.3827  4 O 1.48-1.49
O  0.2782  0.3994  0.0440  1 S 1.48
O  0.2218  0.6006  0.5440  1 S 1.48
O  0.5071  0.0209  0.7852  1 S 1.48
O  0.2998  0.7959  0.4582  1 S 1.47
Na  0.7229  0.3370  0.7085  5 O 2.28-2.44
Na  0.1719  0.6096  0.1325  5 O 2.35-2.58
O  0.7002  0.2959  0.0418  1 S 1.47
Na  0.6698  0.9549  0.0755  5 O 2.37-2.62
O  0.5083  0.6988  0.8187  1 S 1.46
Na  0.8302  0.0451  0.5755  5 O 2.37-2.62
O  0.9929  0.9791  0.2852  1 S 1.48
O  0.3795  0.4735  0.8448  1 S 1.46
O  0.7291  0.6836  0.0752  1 S 1.47
O  0.5276  0.4036  0.5200  1 S 1.46
O  0.8205  0.3416  0.9117  1 B 1.48, 1 S 1.59
Na  0.3281  0.3904  0.6325  5 O 2.35-2.58
O  0.7748  0.4202  0.4469  1 B 1.49, 1 S 1.59
O  0.9425  0.7518  0.4216  1 S 1.45
Na  0.3469  0.2167  0.8438  4 O 2.28-2.52
Na  0.8469  0.2833  0.1562  4 O 2.28-2.52
S  0.4411  0.8705  0.2333  4 O 1.46-1.61
S  0.1715  0.1717  0.4949  4 O 1.46-1.59
O  0.0747  0.0358  0.6540  1 B 1.48, 1 S 1.61
O  0.5747  0.4642  0.3460  1 B 1.48, 1 S 1.61
Na  0.3302  0.4549  0.4245  5 O 2.37-2.62
S  0.0002  0.9531  0.1993  4 O 1.46-1.58
O  0.4425  0.7482  0.5784  1 S 1.45
S  0.7062  0.2422  0.9599  4 O 1.45-1.59
S  0.9411  0.6295  0.7667  4 O 1.46-1.61
O  0.3921  0.9605  0.3003  1 S 1.48
O  0.9917  0.3012  0.3187  1 S 1.46
O  0.2002  0.2041  0.9582  1 S 1.47
O  0.4917  0.1988  0.6813  1 S 1.46
O  0.6048  0.8395  0.2341  1 S 1.46
S  0.2938  0.7422  0.5401  4 O 1.45-1.59
Na  0.0272  0.0075  0.9384  5 O 2.36-2.53
O  0.6595  0.2466  0.2749  1 S 1.47
O  0.1795  0.8416  0.5883  1 B 1.48, 1 S 1.59
O  0.4253  0.9642  0.1540  1 B 1.48, 1 S 1.61
Na  0.1698  0.5451  0.9245  5 O 2.37-2.62
B  0.2194  0.9849  0.6173  4 O 1.48-1.49
S  0.5589  0.3705  0.2667  4 O 1.46-1.61
S  0.2062  0.2578  0.0401  4 O 1.45-1.59
Na  0.2771  0.8370  0.7915  5 O 2.28-2.44
B  0.2806  0.0151  0.1173  4 O 1.48-1.49
O  0.1581  0.0266  0.1781  1 B 1.49, 1 S 1.58
O  0.1048  0.6605  0.7659  1 S 1.46
O  0.3952  0.3395  0.2659  1 S 1.46
S  0.5002  0.5469  0.8007  4 O 1.46-1.58
O  0.0083  0.8012  0.1813  1 S 1.46
O  0.7709  0.3164  0.5752  1 S 1.47
O  0.4929  0.5209  0.7148  1 S 1.48
O  0.8494  0.8107  0.9670  1 S 1.47
O  0.0071  0.4791  0.2148  1 S 1.48
O  0.3205  0.1584  0.0883  1 B 1.48, 1 S 1.59
O  0.9253  0.5358  0.8460  1 B 1.48, 1 S 1.61
B  0.7806  0.4849  0.8827  4 O 1.48-1.49
Na  0.7771  0.6630  0.2085  5 O 2.28-2.44
O  0.1506  0.3107  0.5330  1 S 1.47
O  0.1205  0.5265  0.3448  1 S 1.46
S  0.0589  0.1295  0.7333  4 O 1.46-1.61
O  0.6581  0.4734  0.8219  1 B 1.49, 1 S 1.58
O  0.8921  0.5395  0.6997  1 S 1.48
O  0.3419  0.9734  0.6781  1 B 1.49, 1 S 1.58
O  0.8405  0.7534  0.7749  1 S 1.47
O  0.6079  0.4605  0.1997  1 S 1.48
O  0.6795  0.6584  0.4117  1 B 1.48, 1 S 1.59
S  0.4998  0.0469  0.6993  4 O 1.46-1.58
O  0.7998  0.7041  0.5418  1 S 1.47
O  0.3405  0.7466  0.2251  1 S 1.47
O  0.0575  0.2518  0.0784  1 S 1.45
O  0.2748  0.0798  0.5531  1 B 1.49, 1 S 1.59
O  0.7218  0.8994  0.4560  1 S 1.48
O  0.7252  0.5798  0.9469  1 B 1.49, 1 S 1.59
Na  0.4728  0.9925  0.4384  5 O 2.36-2.53
S  0.3285  0.8283  0.9949  4 O 1.46-1.59
O  0.2291  0.8164  0.9248  1 S 1.47
O  0.7782  0.1006  0.9560  1 S 1.48
O  0.9724  0.5964  0.0200  1 S 1.46

***

No. 2
First-principles (PBE) data for crystalline Na5BS4O16 at its relaxed geometry, as listed in Materials Project.

Lattice parameters (Å, degrees): 10.9703 14.1218 18.5303 90.00 90.00 90.00
Last column: nearest neighbours and their distance in Å.
Atoms (fractional coordinates):
Na  0.2290  0.1350  0.8874  5 O 2.37-2.57
O  0.0516  0.5759  0.7498  1 S 1.46
O  0.2492  0.2269  0.2787  1 S 1.47
O  0.3795  0.2615  0.9221  1 S 1.45
O  0.1224  0.5031  0.3077  1 S 1.47
O  0.0329  0.7291  0.5183  1 S 1.47
O  0.1405  0.9990  0.1163  1 B 1.51, 1 S 1.60
O  0.9880  0.0796  0.3360  1 S 1.45
O  0.3473  0.5123  0.4788  1 B 1.46, 1 S 1.60
O  0.4541  0.4160  0.9464  1 B 1.49, 1 S 1.58
S  0.7399  0.8099  0.2046  4 O 1.46-1.57
Na  0.5030  0.7601  0.7802  3 O 2.29-2.56
O  0.6224  0.4969  0.3077  1 S 1.47
S  0.2446  0.8107  0.1974  4 O 1.47-1.56
O  0.6527  0.4877  0.9788  1 B 1.46, 1 S 1.60
O  0.3255  0.0717  0.5016  1 S 1.46
Na  0.2306  0.7303  0.0372  4 O 2.31-2.50
O  0.7771  0.5931  0.5755  1 S 1.46
O  0.3783  0.7964  0.6670  1 S 1.48
O  0.7300  0.0813  0.7065  1 B 1.48, 1 S 1.56
S  0.2554  0.8107  0.6974  4 O 1.47-1.56
O  0.4297  0.9923  0.7333  1 B 1.46, 1 S 1.60
O  0.2229  0.4069  0.0755  1 S 1.46
O  0.9959  0.2856  0.5299  1 S 1.48
O  0.1266  0.7147  0.4002  1 S 1.47
S  0.7800  0.0082  0.5440  4 O 1.46-1.60
O  0.2461  0.5786  0.5823  1 S 1.46
S  0.2399  0.1901  0.2046  4 O 1.46-1.57
B  0.0391  0.5026  0.9383  4 O 1.46-1.51
O  0.0703  0.9923  0.2333  1 B 1.46, 1 S 1.60
O  0.8734  0.2853  0.9002  1 S 1.47
O  0.3453  0.2226  0.1616  1 S 1.48
O  0.3129  0.8989  0.5132  1 S 1.48
O  0.4786  0.0934  0.3321  1 S 1.47
Na  0.7721  0.3728  0.3306  6 O 2.32-2.55
O  0.5946  0.7070  0.9101  1 S 1.47
O  0.4484  0.5759  0.2498  1 S 1.46
Na  0.6932  0.1388  0.8755  4 O 2.28-2.46
Na  0.8068  0.1388  0.3755  4 O 2.28-2.46
S  0.0221  0.6877  0.4458  4 O 1.47-1.57
O  0.0370  0.5786  0.4584  1 B 1.47, 1 S 1.57
Na  0.2710  0.1350  0.3874  5 O 2.37-2.57
O  0.8267  0.0126  0.8523  1 S 1.48
Na  0.2694  0.7303  0.5372  4 O 2.31-2.50
O  0.8402  0.2230  0.1482  1 S 1.47
O  0.3267  0.9874  0.8523  1 S 1.48
S  0.2800  0.9918  0.5440  4 O 1.46-1.60
O  0.6500  0.0015  0.5624  1 S 1.47
O  0.0214  0.0934  0.8321  1 S 1.47
S  0.0076  0.4928  0.7890  4 O 1.46-1.61
O  0.9484  0.4241  0.2498  1 S 1.46
O  0.6733  0.0126  0.3523  1 S 1.48
S  0.5221  0.3123  0.4458  4 O 1.47-1.57
O  0.5329  0.2709  0.5183  1 S 1.47
Na  0.2279  0.6272  0.8306  6 O 2.32-2.55
O  0.4959  0.7144  0.5299  1 S 1.48
Na  0.7609  0.6287  0.8548  5 O 2.37-2.60
Na  0.0891  0.3748  0.6246  5 O 2.29-2.51
O  0.7530  0.2299  0.2701  1 S 1.47
Na  0.0139  0.6463  0.6357  5 O 2.37-2.62
Na  0.9970  0.7601  0.2802  3 O 2.29-2.56
O  0.4499  0.5091  0.5978  1 S 1.47
O  0.8129  0.1011  0.5132  1 S 1.48
O  0.9570  0.5974  0.2554  1 S 1.47
B  0.9609  0.4974  0.4383  4 O 1.46-1.51
Na  0.7710  0.8650  0.3874  5 O 2.37-2.57
O  0.7492  0.7731  0.2787  1 S 1.47
O  0.9297  0.0077  0.7333  1 B 1.46, 1 S 1.60
S  0.5513  0.0078  0.3189  4 O 1.45-1.60
O  0.6547  0.7774  0.6616  1 S 1.48
O  0.5214  0.9066  0.8321  1 S 1.47
O  0.1527  0.5123  0.9788  1 B 1.46, 1 S 1.60
Na  0.3068  0.8612  0.3755  4 O 2.28-2.46
O  0.8453  0.7774  0.1616  1 S 1.48
O  0.1223  0.2081  0.1702  1 S 1.46
S  0.0513  0.9922  0.3189  4 O 1.45-1.60
O  0.1205  0.2615  0.4221  1 S 1.45
O  0.3500  0.9985  0.0624  1 S 1.47
O  0.1500  0.9985  0.5624  1 S 1.47
S  0.7200  0.0082  0.0440  4 O 1.46-1.60
O  0.2386  0.0806  0.7110  1 B 1.47, 1 S 1.57
O  0.1871  0.8989  0.0132  1 S 1.48
S  0.0138  0.3073  0.4526  4 O 1.45-1.58
S  0.5138  0.6927  0.4526  4 O 1.45-1.58
Na  0.5030  0.1287  0.5854  6 O 2.37-2.62
O  0.2300  0.9187  0.7065  1 B 1.48, 1 S 1.56
O  0.4137  0.4956  0.3620  1 B 1.51, 1 S 1.61
Na  0.9861  0.3537  0.1357  5 O 2.37-2.62
O  0.9541  0.5840  0.9464  1 B 1.49, 1 S 1.58
O  0.8783  0.2036  0.6670  1 S 1.48
O  0.8992  0.2901  0.4130  1 S 1.48
S  0.8288  0.4990  0.5641  4 O 1.46-1.60
B  0.1849  0.9984  0.1937  4 O 1.46-1.51
S  0.4487  0.9922  0.8189  4 O 1.45-1.60
O  0.5041  0.2856  0.0299  1 S 1.48
O  0.7229  0.5931  0.0755  1 S 1.46
O  0.5370  0.4214  0.4584  1 B 1.47, 1 S 1.57
Na  0.5139  0.3537  0.6357  5 O 2.37-2.62
Na  0.0030  0.2399  0.7802  3 O 2.29-2.56
S  0.2601  0.1901  0.7046  4 O 1.46-1.57
Na  0.7306  0.2697  0.0372  4 O 2.31-2.50
O  0.5516  0.4241  0.7498  1 S 1.46
O  0.1008  0.7099  0.9130  1 S 1.48
O  0.2771  0.4069  0.5755  1 S 1.46
B  0.3151  0.9984  0.6937  4 O 1.46-1.51
Na  0.7290  0.8650  0.8874  5 O 2.37-2.57
Na  0.9970  0.1287  0.0854  6 O 2.37-2.62
Na  0.4970  0.8713  0.0854  6 O 2.37-2.62
O  0.7461  0.4214  0.5823  1 S 1.46
S  0.4862  0.3073  0.9526  4 O 1.45-1.58
O  0.9137  0.5044  0.3620  1 B 1.51, 1 S 1.61
S  0.7554  0.1893  0.6974  4 O 1.47-1.56
Na  0.5240  0.8678  0.5902  4 O 2.33-2.46
O  0.1547  0.2226  0.6616  1 S 1.48
O  0.2508  0.2269  0.7787  1 S 1.47
S  0.3288  0.5010  0.5641  4 O 1.46-1.60
O  0.9630  0.4214  0.9584  1 B 1.47, 1 S 1.57
O  0.2530  0.7701  0.2701  1 S 1.47
S  0.1712  0.5010  0.0641  4 O 1.46-1.60
O  0.0459  0.4160  0.4464  1 B 1.49, 1 S 1.58
O  0.7508  0.7731  0.7787  1 S 1.47
O  0.0041  0.7144  0.0299  1 S 1.48
O  0.5120  0.0796  0.8360  1 S 1.45
O  0.8255  0.9283  0.5016  1 S 1.46
O  0.9499  0.4909  0.5978  1 S 1.47
O  0.9671  0.2709  0.0183  1 S 1.47
S  0.9779  0.3123  0.9458  4 O 1.47-1.57
O  0.6405  0.0010  0.1163  1 B 1.51, 1 S 1.60
Na  0.4970  0.2399  0.2802  3 O 2.29-2.56
O  0.1598  0.7770  0.6482  1 S 1.47
O  0.6223  0.7919  0.1702  1 S 1.46
O  0.4880  0.9204  0.3360  1 S 1.45
Na  0.9108  0.6252  0.1246  5 O 2.29-2.51
O  0.6871  0.1011  0.0132  1 S 1.48
O  0.3734  0.7147  0.9002  1 S 1.47
O  0.1217  0.7964  0.1670  1 S 1.48
B  0.5391  0.4974  0.9383  4 O 1.46-1.51
O  0.6745  0.9283  0.0016  1 S 1.46
B  0.4609  0.5026  0.4383  4 O 1.46-1.51
O  0.1733  0.9874  0.3523  1 S 1.48
O  0.4630  0.5786  0.9584  1 B 1.47, 1 S 1.57
O  0.0430  0.4026  0.7554  1 S 1.47
B  0.8151  0.0016  0.6937  4 O 1.46-1.51
O  0.5863  0.5044  0.8620  1 B 1.51, 1 S 1.61
O  0.9054  0.7070  0.4101  1 S 1.47
S  0.7601  0.8099  0.7046  4 O 1.46-1.57
O  0.2539  0.5786  0.0823  1 S 1.46
O  0.0863  0.4956  0.8620  1 B 1.51, 1 S 1.61
Na  0.4108  0.3748  0.1246  5 O 2.29-2.51
O  0.8776  0.4969  0.8077  1 S 1.47
S  0.9862  0.6927  0.9526  4 O 1.45-1.58
Na  0.1932  0.8612  0.8755  4 O 2.28-2.46
O  0.5501  0.4909  0.0978  1 S 1.47
O  0.6217  0.2036  0.1670  1 S 1.48
O  0.4570  0.4026  0.2554  1 S 1.47
O  0.4054  0.2930  0.4101  1 S 1.47
O  0.6205  0.7385  0.4221  1 S 1.45
O  0.7470  0.2299  0.7701  1 S 1.47
O  0.1745  0.0717  0.0016  1 S 1.46
S  0.4779  0.6877  0.9458  4 O 1.47-1.57
O  0.7539  0.4214  0.0823  1 S 1.46
O  0.6266  0.2853  0.4002  1 S 1.47
Na  0.5891  0.6252  0.6246  5 O 2.29-2.51
O  0.3777  0.2081  0.6702  1 S 1.46
Na  0.2721  0.6272  0.3306  6 O 2.32-2.55
O  0.3776  0.5031  0.8077  1 S 1.47
Na  0.2609  0.3713  0.8548  5 O 2.37-2.60
O  0.5459  0.5840  0.4464  1 B 1.49, 1 S 1.58
O  0.3402  0.7770  0.1482  1 S 1.47
O  0.2470  0.7701  0.7701  1 S 1.47
O  0.8595  0.0010  0.6163  1 B 1.51, 1 S 1.60
Na  0.0030  0.8713  0.5854  6 O 2.37-2.62
O  0.9786  0.9066  0.3321  1 S 1.47
O  0.0946  0.2930  0.9101  1 S 1.47
S  0.7446  0.1893  0.1974  4 O 1.47-1.56
Na  0.4760  0.1322  0.0902  4 O 2.33-2.46
O  0.0501  0.5091  0.0978  1 S 1.47
O  0.6598  0.2230  0.6482  1 S 1.47
O  0.2700  0.9187  0.2065  1 B 1.48, 1 S 1.56
O  0.7614  0.9194  0.2110  1 B 1.47, 1 S 1.57
O  0.6008  0.2901  0.9130  1 S 1.48
O  0.4671  0.7291  0.0183  1 S 1.47
S  0.4924  0.4928  0.2890  4 O 1.46-1.61
O  0.8777  0.7919  0.6702  1 S 1.46
O  0.3992  0.7099  0.4130  1 S 1.48
S  0.5076  0.5072  0.7890  4 O 1.46-1.61
O  0.5430  0.5974  0.7554  1 S 1.47
S  0.9487  0.0078  0.8189  4 O 1.45-1.60
Na  0.9760  0.8678  0.0902  4 O 2.33-2.46
O  0.7386  0.9194  0.7110  1 B 1.47, 1 S 1.57
O  0.0120  0.9204  0.8360  1 S 1.45
Na  0.2391  0.3713  0.3548  5 O 2.37-2.60
O  0.8795  0.7385  0.9221  1 S 1.45
O  0.5703  0.0077  0.2333  1 B 1.46, 1 S 1.60
B  0.6849  0.0016  0.1937  4 O 1.46-1.51
Na  0.4861  0.6463  0.1357  5 O 2.37-2.62
O  0.3595  0.9990  0.6163  1 B 1.51, 1 S 1.60
O  0.2614  0.0806  0.2110  1 B 1.47, 1 S 1.57
O  0.8473  0.4877  0.4788  1 B 1.46, 1 S 1.60
O  0.8500  0.0015  0.0624  1 S 1.47
Na  0.7391  0.6287  0.3548  5 O 2.37-2.60
Na  0.0240  0.1322  0.5902  4 O 2.33-2.46
O  0.7700  0.0813  0.2065  1 B 1.48, 1 S 1.56
S  0.6712  0.4990  0.0641  4 O 1.46-1.60
Na  0.7279  0.3728  0.8306  6 O 2.32-2.55
Na  0.7694  0.2697  0.5372  4 O 2.31-2.50
S  0.2200  0.9918  0.0440  4 O 1.46-1.60
S  0.9924  0.5072  0.2890  4 O 1.46-1.61

***

Energy of formation from the pure elements (computed, eV/atom): -2.175 -2.179
Total magnetic moment (computed, μB per cell): 0.00 0.00
Electronic total energy (computed, eV/cell): -618.23 -1237.23